Record 1
A plane-wave DFT calculation with meta-GGA r2SCAN was carried out for Tm2B6Rh9 after structural relaxation.

**Space-group type**: No. 191
**Density**: 9.72 g cm⁻³
**Formation enthalpy at 0 K**: -67 kJ/mol of atoms
**Total magnetization**: 0.000 μB per atom
**Calculated volume**: 13.4 Å³/atom
**Raw total energy**: -20.200 eV per atom

Cell and atoms, written as extended XYZ:
```
17
Lattice="-0.304 0.858 5.472 -2.383 -4.479 -2.242 7.224 -4.388 1.089" Properties=species:S:1:pos:R:3 pbc="T T T"
B 3.133 -5.629 1.056
Rh 4.843 -5.905 -0.211
Rh -0.002 -2.962 -0.942
Rh 2.269 -4.005 2.159
Rh 2.421 -4.434 -0.576
B -0.997 -0.921 2.901
Tm 2.132 -1.295 0.321
B 3.826 -3.851 3.627
B 1.405 -2.380 3.262
Rh 1.038 -0.294 2.915
Rh 5.883 -3.237 3.645
B -1.690 -2.700 0.329
Tm 5.092 -3.093 0.767
Rh 3.460 -1.765 3.280
Rh 4.691 -5.476 2.525
Rh -0.154 -2.533 1.794
B 0.712 -4.159 0.691
```



Record 2
A plane-wave DFT calculation with meta-GGA r2SCAN was carried out for YB4Rh after structural relaxation.

**Space-group type**: No. 55
**Density**: 6.37 g cm⁻³
**Formation enthalpy at 0 K**: -64 kJ/mol of atoms
**Total magnetization**: 0.000 μB per atom
**Calculated volume**: 10.2 Å³/atom
**Raw total energy**: -12.973 eV per atom

Cell and atoms, written as extended XYZ:
```
24
Lattice="-1.981 -2.573 1.461 -1.313 -2.072 -5.428 9.254 -6.900 0.396" Properties=species:S:1:pos:R:3 pbc="T T T"
Rh 3.283 -3.540 -1.781
Y 5.832 -4.749 -0.456
Y 0.894 -1.792 -1.942
B 3.172 -4.807 0.174
B 5.201 -8.886 -4.257
B 2.400 -5.681 -2.411
B 4.788 -7.052 -1.589
Rh -0.252 -2.429 -4.618
B 4.327 -7.660 -3.283
B 7.502 -8.726 -0.857
Rh 8.194 -6.543 -0.413
B 3.560 -5.863 -1.159
B 2.789 -6.737 -3.744
B 1.633 -3.884 -0.288
B 6.665 -9.704 -3.712
B -0.704 -1.841 0.142
Y 7.047 -7.180 -3.089
B 6.156 -7.498 -0.519
B 0.759 -2.658 0.686
B -1.541 -2.819 -2.714
B 1.173 -4.492 -1.982
Y 2.108 -4.223 -4.576
Rh 4.657 -5.432 -3.250
B -0.196 -4.047 -3.051
```



Record 3
A plane-wave DFT calculation with meta-GGA r2SCAN was carried out for YBRh3 after structural relaxation.

**Space-group type**: No. 221
**Density**: 9.29 g cm⁻³
**Formation enthalpy at 0 K**: -80 kJ/mol of atoms
**Total magnetization**: 0.001 μB per atom
**Calculated volume**: 14.6 Å³/atom
**Raw total energy**: -20.838 eV per atom

Cell and atoms, written as extended XYZ:
```
5
Lattice="4.179 0.000 0.000 0.000 4.179 0.000 0.000 0.000 4.179" Properties=species:S:1:pos:R:3 pbc="T T T"
B 2.089 2.089 2.089
Rh 2.089 2.089 0.000
Rh 0.000 2.089 2.089
Rh 2.089 0.000 2.089
Y 0.000 0.000 0.000
```



Record 4
A plane-wave DFT calculation with meta-GGA r2SCAN was carried out for Zn5B3Rh7 after structural relaxation.

**Space-group type**: No. 51
**Density**: 9.81 g cm⁻³
**Formation enthalpy at 0 K**: -46 kJ/mol of atoms
**Total magnetization**: 0.000 μB per atom
**Calculated volume**: 12.2 Å³/atom
**Raw total energy**: -16.176 eV per atom

Cell and atoms, written as extended XYZ:
```
30
Lattice="-2.337 1.276 0.980 0.381 -6.262 9.056 6.618 8.059 5.294" Properties=species:S:1:pos:R:3 pbc="T T T"
Rh 0.577 -5.178 8.113
Zn 0.363 -2.541 8.279
Zn -0.260 1.415 1.644
Zn 3.478 0.446 11.818
Rh 4.799 5.319 4.521
Rh 3.426 -0.872 9.304
Rh 2.200 -3.522 9.828
Rh 4.930 3.165 7.636
Zn 4.922 1.657 13.686
Rh 6.422 6.975 6.237
Rh 3.572 2.669 5.046
Rh 6.517 5.418 8.489
Zn 3.386 1.946 9.649
B 2.804 4.686 4.695
B -0.814 -0.612 2.961
Zn 4.769 4.177 10.042
B 1.757 0.048 8.233
B 2.905 3.025 7.097
B 1.858 -1.613 10.635
B 5.476 3.685 12.369
Zn 1.275 1.127 5.681
Zn 4.298 5.613 7.051
Zn -0.107 -1.104 5.287
Rh 2.069 -1.368 6.713
Rh 5.695 1.891 11.119
Rh 0.482 -3.621 5.860
Rh 3.499 0.899 7.175
Zn 1.184 2.627 3.512
Rh 3.309 4.029 2.647
Rh 1.304 -0.094 3.231
```



Record 5
A plane-wave DFT calculation with meta-GGA r2SCAN was carried out for ZrBRh3 after structural relaxation.

**Space-group type**: No. 221
**Density**: 9.80 g cm⁻³
**Formation enthalpy at 0 K**: -77 kJ/mol of atoms
**Total magnetization**: 0.000 μB per atom
**Calculated volume**: 13.9 Å³/atom
**Raw total energy**: -21.302 eV per atom

Cell and atoms, written as extended XYZ:
```
5
Lattice="-0.716 4.047 -0.172 -3.944 -0.737 -0.906 -0.922 0.007 4.009" Properties=species:S:1:pos:R:3 pbc="T T T"
B -2.791 1.659 1.465
Zr 0.000 0.000 0.000
Rh -0.819 2.027 1.918
Rh -2.433 -0.365 1.551
Rh -2.330 1.655 -0.539
```



Record 6
A plane-wave DFT calculation with meta-GGA r2SCAN was carried out for B3Ru7 after structural relaxation.

**Space-group type**: No. 186
**Density**: 10.80 g cm⁻³
**Formation enthalpy at 0 K**: -14 kJ/mol of atoms
**Total magnetization**: 0.000 μB per atom
**Calculated volume**: 11.4 Å³/atom
**Raw total energy**: -20.143 eV per atom

Cell and atoms, written as extended XYZ:
```
20
Lattice="-3.154 5.916 3.293 0.414 -6.514 3.630 4.184 1.249 1.764" Properties=species:S:1:pos:R:3 pbc="T T T"
Ru 1.324 -2.537 5.826
Ru 2.339 -2.315 3.263
B -0.905 1.166 5.510
Ru 2.396 1.573 2.549
Ru -2.398 2.516 4.790
B -1.083 3.976 3.944
Ru 0.428 2.486 4.413
B 1.864 -0.566 6.456
B 3.046 -0.308 3.470
Ru 0.389 5.338 4.645
Ru 0.999 -4.704 4.018
Ru -1.383 2.738 2.227
Ru -1.008 -0.940 6.113
Ru 0.736 -0.558 1.708
Ru 0.652 1.191 6.955
Ru -0.476 -2.282 3.644
Ru 1.171 -0.125 4.482
B 0.277 1.424 2.524
B 3.224 -3.117 5.036
Ru -1.230 0.326 3.571
```



Record 7
A plane-wave DFT calculation with meta-GGA r2SCAN was carried out for SmB4Ru4 after structural relaxation.

**Space-group type**: No. 142
**Density**: 9.41 g cm⁻³
**Formation enthalpy at 0 K**: -49 kJ/mol of atoms
**Total magnetization**: 0.000 μB per atom
**Calculated volume**: 11.7 Å³/atom
**Raw total energy**: -18.380 eV per atom

Cell and atoms, written as extended XYZ:
```
36
Lattice="7.717 -4.194 -2.744 1.215 -7.734 4.835 -7.224 3.264 -4.672" Properties=species:S:1:pos:R:3 pbc="T T T"
Sm -3.004 -2.235 0.081
Ru 2.551 -2.061 -2.248
B -0.567 -3.367 1.462
Sm -4.991 0.282 -4.149
B -2.431 -5.124 -0.595
B -1.501 0.180 -1.384
B 0.894 -5.707 -0.486
B -1.098 -2.794 -2.428
Ru -0.555 -4.103 -0.629
B 2.434 -5.211 -4.229
Ru 1.308 -3.366 -4.381
Ru 5.781 -6.318 0.070
Ru 2.879 -8.746 -1.386
Ru -2.974 -3.814 -2.394
B -0.981 -6.670 2.035
Ru -2.086 -4.863 1.579
Ru -0.072 -1.386 -0.938
Sm 6.699 -8.946 1.568
Ru -5.622 -3.189 -0.846
Ru 3.094 -5.992 0.084
B -4.208 -4.829 -0.750
B 1.754 -6.901 -1.538
Ru -1.044 -6.713 -0.099
B 0.679 -3.089 -2.272
B 7.372 -5.779 -1.491
B 4.676 -4.511 -0.385
B 3.980 -3.627 -1.801
Sm 1.462 -8.199 1.127
B -4.423 -2.210 -2.537
Ru 0.601 -5.190 1.565
B 4.262 -7.814 0.187
Ru 2.093 -4.728 -2.177
Ru 3.965 -3.635 -3.937
Ru 6.231 -4.007 -1.993
B 2.824 -1.863 -4.439
Ru -2.485 -1.205 -2.923
```



Record 8
A plane-wave DFT calculation with meta-GGA r2SCAN was carried out for TaBRu after structural relaxation.

**Space-group type**: No. 55
**Density**: 13.39 g cm⁻³
**Formation enthalpy at 0 K**: -65 kJ/mol of atoms
**Total magnetization**: 0.000 μB per atom
**Calculated volume**: 12.1 Å³/atom
**Raw total energy**: -27.792 eV per atom

Cell and atoms, written as extended XYZ:
```
36
Lattice="-2.361 1.594 -1.241 -4.701 -1.066 7.579 6.018 13.271 5.598" Properties=species:S:1:pos:R:3 pbc="T T T"
Ta 1.160 7.342 7.227
Ru 0.306 11.321 10.072
B -1.029 6.755 6.746
Ta 0.411 8.463 10.093
Ta 2.703 12.464 10.871
Ta 3.327 10.244 6.831
Ru -3.035 1.504 3.818
Ta 2.100 6.485 4.335
B 3.507 8.747 4.564
B -0.829 1.811 3.904
B -0.016 7.044 5.190
Ta -1.386 -0.259 2.306
B -4.283 1.267 5.889
Ru 1.991 12.296 8.118
Ru 0.605 9.956 7.750
Ru -2.431 4.747 6.835
Ta -0.784 5.720 8.842
B -1.657 0.719 0.186
B -0.935 7.980 8.141
Ta -4.064 0.204 7.999
Ru -1.649 3.843 4.186
Ta 0.157 4.864 5.950
Ta 5.381 12.001 5.178
Ru 1.184 6.159 1.768
Ta 0.906 3.742 3.083
Ru -2.229 7.640 10.168
B 0.612 13.081 11.750
Ta -2.010 1.961 6.346
Ru -4.177 2.919 7.810
B -2.190 3.459 8.613
Ru 3.133 10.881 4.126
Ru 1.386 9.052 5.101
B 2.146 10.395 9.273
B -0.110 5.820 3.795
B 3.238 12.532 6.047
Ru -1.351 2.478 1.864
```



Record 9
A plane-wave DFT calculation with meta-GGA r2SCAN was carried out for Ta3B2Ru5 after structural relaxation.

**Space-group type**: No. 127
**Density**: 13.40 g cm⁻³
**Formation enthalpy at 0 K**: -55 kJ/mol of atoms
**Total magnetization**: 0.000 μB per atom
**Calculated volume**: 13.3 Å³/atom
**Raw total energy**: -29.334 eV per atom

Cell and atoms, written as extended XYZ:
```
20
Lattice="9.407 0.000 0.000 0.000 9.407 0.000 0.000 0.000 2.997" Properties=species:S:1:pos:R:3 pbc="T T T"
Ta 0.000 0.000 0.000
Ru 0.000 4.703 1.499
Ru 4.033 2.650 1.499
Ta 4.703 4.703 0.000
Ta 7.749 6.361 0.000
Ru 0.670 7.353 1.499
Ta 6.361 1.658 0.000
Ru 4.703 0.000 1.499
Ru 8.736 2.053 1.499
B 1.141 5.845 0.000
B 8.265 3.562 0.000
Ta 3.046 7.749 0.000
B 3.562 1.141 0.000
Ta 1.658 3.046 0.000
Ru 5.374 6.756 1.499
Ru 2.650 5.374 1.499
B 5.845 8.265 0.000
Ru 2.053 0.670 1.499
Ru 6.756 4.033 1.499
Ru 7.353 8.736 1.499
```



Record 10
A plane-wave DFT calculation with meta-GGA r2SCAN was carried out for TbB4Ru4 after structural relaxation.

**Space-group type**: No. 142
**Density**: 9.66 g cm⁻³
**Formation enthalpy at 0 K**: -52 kJ/mol of atoms
**Total magnetization**: 0.000 μB per atom
**Calculated volume**: 11.6 Å³/atom
**Raw total energy**: -18.571 eV per atom

Cell and atoms, written as extended XYZ:
```
36
Lattice="8.879 1.597 -1.635 4.886 -1.546 7.602 -6.242 -5.057 -4.419" Properties=species:S:1:pos:R:3 pbc="T T T"
B 0.364 -5.985 2.281
B -0.872 -1.516 -1.047
Ru 0.942 -5.280 0.193
Tb 3.441 0.013 1.492
Ru -0.311 -3.660 -1.574
Ru 4.145 -2.994 -2.429
B 6.395 0.377 1.036
B 6.154 -3.498 1.624
Ru 6.112 -1.139 -2.337
Ru 7.527 1.019 -0.833
Tb 10.324 0.038 4.476
B 3.040 -2.335 -0.633
B 9.400 0.987 0.239
B 8.150 -1.563 3.145
Ru 2.462 -3.040 1.455
B 5.632 -0.201 -0.488
B 4.239 -1.108 -3.409
Ru -1.699 -6.031 1.647
Ru 1.370 -3.544 3.977
Ru 8.276 0.280 2.090
B 1.496 -1.700 2.922
B 6.129 -3.225 -1.611
Ru 3.715 -4.660 3.222
B 1.615 -3.435 -0.625
Ru 1.080 -1.270 -0.159
B -1.112 -5.392 -0.459
Ru 5.103 -2.290 0.001
Tb -0.678 -3.302 1.592
Ru 6.140 -1.352 2.387
B 4.516 -2.929 2.108
Ru 3.507 -1.912 3.680
Tb 1.319 -1.730 -3.027
B 1.789 -4.886 2.273
Ru 3.680 -0.447 -1.376
Ru 8.138 -3.730 2.442
B 3.252 -3.641 5.031
```



Record 11
A plane-wave DFT calculation with meta-GGA r2SCAN was carried out for Tb2B6Ru after structural relaxation.

**Space-group type**: No. 55
**Density**: 8.26 g cm⁻³
**Formation enthalpy at 0 K**: -70 kJ/mol of atoms
**Total magnetization**: 0.000 μB per atom
**Calculated volume**: 10.8 Å³/atom
**Raw total energy**: -15.388 eV per atom

Cell and atoms, written as extended XYZ:
```
36
Lattice="3.679 0.000 0.000 0.000 9.169 0.000 0.000 0.000 11.529" Properties=species:S:1:pos:R:3 pbc="T T T"
B 1.839 3.557 11.172
B 1.839 9.029 2.453
B 1.839 8.672 10.750
B 1.839 5.799 2.143
B 1.839 6.904 10.604
Tb 0.000 6.205 6.756
B 1.839 1.214 3.621
B 1.839 4.445 3.311
B 1.839 8.141 6.122
B 1.839 7.954 7.907
Tb 0.000 5.099 10.060
B 1.839 6.509 8.842
Tb 0.000 0.514 7.233
B 1.839 4.088 6.544
B 1.839 3.370 9.386
B 1.839 2.265 0.925
B 1.839 2.660 2.687
Tb 0.000 2.963 4.773
Ru 0.000 1.264 2.059
Tb 0.000 1.621 10.538
Ru 0.000 5.848 3.705
B 1.839 6.849 4.839
B 1.839 5.611 0.357
Tb 0.000 4.070 1.468
B 1.839 0.496 0.779
B 1.839 0.140 9.076
B 1.839 4.724 8.218
Tb 0.000 8.654 4.296
Ru 0.000 7.905 9.470
Tb 0.000 7.548 0.991
Ru 0.000 3.321 7.823
B 1.839 5.081 4.985
B 1.839 2.320 6.690
B 1.839 1.925 8.451
B 1.839 7.244 3.078
B 1.839 1.027 5.407
```



Record 12
A plane-wave DFT calculation with meta-GGA r2SCAN was carried out for ThB2Ru3 after structural relaxation.

**Space-group type**: No. 191
**Density**: 11.39 g cm⁻³
**Formation enthalpy at 0 K**: -53 kJ/mol of atoms
**Total magnetization**: 0.000 μB per atom
**Calculated volume**: 13.5 Å³/atom
**Raw total energy**: -27.958 eV per atom

Cell and atoms, written as extended XYZ:
```
6
Lattice="5.521 0.000 0.000 -2.761 4.781 0.000 0.000 0.000 3.076" Properties=species:S:1:pos:R:3 pbc="T T T"
Ru -1.380 2.391 1.538
Ru 1.380 2.391 1.538
B 2.761 1.594 0.000
Ru 2.761 0.000 1.538
B 0.000 3.188 0.000
Th 0.000 0.000 0.000
```



Record 13
A plane-wave DFT calculation with meta-GGA r2SCAN was carried out for TmB4Ru after structural relaxation.

**Space-group type**: No. 55
**Density**: 8.75 g cm⁻³
**Formation enthalpy at 0 K**: -69 kJ/mol of atoms
**Total magnetization**: 0.000 μB per atom
**Calculated volume**: 9.9 Å³/atom
**Raw total energy**: -15.706 eV per atom

Cell and atoms, written as extended XYZ:
```
24
Lattice="3.521 0.000 0.000 0.000 5.909 0.000 0.000 0.000 11.424" Properties=species:S:1:pos:R:3 pbc="T T T"
B 0.000 1.238 9.302
B 0.000 5.770 3.515
Tm 1.760 0.763 1.712
B 0.000 2.815 2.196
B 0.000 3.094 9.227
Ru 1.760 0.833 4.650
B 0.000 0.801 11.081
B 0.000 2.153 5.370
Ru 1.760 5.076 6.774
B 0.000 4.193 7.833
B 0.000 5.244 5.173
Ru 1.760 2.122 10.362
B 0.000 5.108 0.342
Tm 1.760 5.146 9.711
Tm 1.760 3.718 3.999
Ru 1.760 3.787 1.062
B 0.000 3.756 6.054
B 0.000 3.620 10.885
B 0.000 1.716 3.590
B 0.000 2.289 0.539
B 0.000 0.139 7.908
Tm 1.760 2.191 7.424
B 0.000 4.671 2.122
B 0.000 0.665 6.251
```



Record 14
A plane-wave DFT calculation with meta-GGA r2SCAN was carried out for TmB2Ru3 after structural relaxation.

**Space-group type**: No. 191
**Density**: 10.57 g cm⁻³
**Formation enthalpy at 0 K**: -51 kJ/mol of atoms
**Total magnetization**: 0.000 μB per atom
**Calculated volume**: 12.9 Å³/atom
**Raw total energy**: -21.540 eV per atom

Cell and atoms, written as extended XYZ:
```
6
Lattice="5.451 0.000 0.000 -2.726 4.721 0.000 0.000 0.000 3.015" Properties=species:S:1:pos:R:3 pbc="T T T"
B 0.000 3.147 0.000
Ru 2.726 0.000 1.507
B 2.726 1.574 0.000
Ru 1.363 2.360 1.507
Ru -1.363 2.360 1.507
Tm 0.000 0.000 0.000
```



Record 15
A plane-wave DFT calculation with meta-GGA r2SCAN was carried out for UB4Ru after structural relaxation.

**Space-group type**: No. 65
**Density**: 10.36 g cm⁻³
**Formation enthalpy at 0 K**: -57 kJ/mol of atoms
**Total magnetization**: 0.308 μB per atom
**Calculated volume**: 10.2 Å³/atom
**Raw total energy**: -23.046 eV per atom

Cell and atoms, written as extended XYZ:
```
12
Lattice="-5.703 -1.756 -0.363 3.125 -5.087 -0.319 -0.131 -0.301 3.521" Properties=species:S:1:pos:R:3 pbc="T T T"
B -1.041 -2.738 1.503
Ru -0.485 -1.286 -0.128
B 0.757 -2.207 1.615
B -3.466 -4.937 1.224
U 0.478 -4.088 -0.332
B -0.670 -5.992 1.238
B 2.247 -4.931 1.438
U -3.056 -2.755 -0.350
Ru -2.094 -5.557 -0.553
B -4.957 -2.213 1.402
B -2.040 -1.152 1.601
B -1.669 -4.406 1.337
```